VASP calculation (PBE with a Hubbard U) on a relaxed structure of Li6Cr5CuO12.

Properties
The calculation puts the formation energy at -52.59 eV per formula unit. The crystal system is monoclinic.

a = 5.0947 Å, b = 5.0947 Å, c = 9.9995 Å
α = 85.72°, β = 94.28°, γ = 59.94°
Sites, in units of the cell vectors:
O (0.8015, 0.1985, 0.3895)
O (0.8650, 0.4685, 0.6107)
O (0.6984, 0.9645, 0.1118)
O (0.1985, 0.8015, 0.6105)
O (0.4685, 0.8650, 0.3893)
O (0.9645, 0.6984, 0.8881)
O (0.0356, 0.3016, 0.1119)
O (0.3016, 0.0355, 0.8881)
O (0.5315, 0.1350, 0.6107)
O (0.6225, 0.3774, 0.8862)
O (0.3775, 0.6225, 0.1138)
O (0.1350, 0.5315, 0.3893)
Cr (0.5000, 0.5000, 0.5000)
Cr (0.1666, 0.1666, 0.5000)
Cr (0.6667, 0.6667, 0.0000)
Cr (0.8334, 0.8334, 0.5000)
Cr (0.3333, 0.3333, 0.0000)
Li (0.4482, 0.2207, 0.2578)
Li (0.7793, 0.5517, 0.2578)
Li (0.1143, 0.8856, 0.2513)
Li (0.5517, 0.7793, 0.7422)
Li (0.8856, 0.1143, 0.7487)
Li (0.2207, 0.4482, 0.7422)
Cu (0.0001, 0.0001, 0.0000)